Record 1
{"formula": "KSrCeSbO6", "functional": "PBE", "state": "relaxed", "cell": [[8.438, 0.000, 0.000], [0.000, 8.446, 0.000], [0.000, 0.000, 8.476]], "species": ["K", "K", "K", "K", "Sr", "Sr", "Sr", "Sr", "Ce", "Ce", "Ce", "Ce", "Sb", "Sb", "Sb", "Sb", "O", "O", "O", "O", "O", "O", "O", "O", "O", "O", "O", "O", "O", "O", "O", "O", "O", "O", "O", "O", "O", "O", "O", "O"], "frac_coords": [[0.250, 0.250, 0.250], [0.250, 0.750, 0.750], [0.750, 0.250, 0.250], [0.750, 0.750, 0.750], [0.250, 0.250, 0.750], [0.250, 0.750, 0.250], [0.750, 0.250, 0.750], [0.750, 0.750, 0.250], [0.000, 0.000, 0.000], [0.000, 0.500, 0.500], [0.500, 0.000, 0.500], [0.500, 0.500, 0.000], [0.000, 0.000, 0.500], [0.000, 0.500, 0.000], [0.500, 0.000, 0.000], [0.500, 0.500, 0.500], [0.013, 0.025, 0.737], [0.013, 0.475, 0.763], [0.014, 0.738, 0.997], [0.014, 0.762, 0.503], [0.237, 0.012, 0.487], [0.237, 0.488, 0.013], [0.263, 0.012, 0.013], [0.263, 0.488, 0.487], [0.486, 0.738, 0.503], [0.486, 0.762, 0.997], [0.487, 0.025, 0.763], [0.487, 0.475, 0.737], [0.513, 0.525, 0.263], [0.513, 0.975, 0.237], [0.514, 0.238, 0.003], [0.514, 0.262, 0.497], [0.737, 0.512, 0.513], [0.737, 0.988, 0.987], [0.763, 0.512, 0.987], [0.763, 0.988, 0.513], [0.986, 0.238, 0.497], [0.986, 0.262, 0.003], [0.987, 0.525, 0.237], [0.987, 0.975, 0.263]], "e_form_ev_per_fu": -28.6, "energy_ev_per_atom": -6.6987, "space_group": "Pnnn", "relative_energy_ev_per_atom": 0.000}



Record 2
{"formula": "KCeZr2O6", "functional": "PBE", "state": "relaxed", "cell": [[0.000, 4.179, 4.179], [4.179, 0.000, 4.179], [4.179, 4.179, 0.000]], "species": ["K", "Ce", "Zr", "Zr", "O", "O", "O", "O", "O", "O"], "frac_coords": [[0.000, 0.000, 0.000], [0.500, 0.500, 0.500], [0.250, 0.250, 0.250], [0.750, 0.750, 0.750], [0.000, 0.000, 0.500], [0.000, 0.500, 0.000], [0.000, 0.500, 0.500], [0.500, 0.000, 0.000], [0.500, 0.000, 0.500], [0.500, 0.500, 0.000]], "e_form_ev_per_fu": -33.6, "energy_ev_per_atom": -8.3315, "space_group": "Fm-3m"}



Repeat the first record exactly.
{"formula": "KSrCeSbO6", "functional": "PBE", "state": "relaxed", "cell": [[8.438, 0.000, 0.000], [0.000, 8.446, 0.000], [0.000, 0.000, 8.476]], "species": ["K", "K", "K", "K", "Sr", "Sr", "Sr", "Sr", "Ce", "Ce", "Ce", "Ce", "Sb", "Sb", "Sb", "Sb", "O", "O", "O", "O", "O", "O", "O", "O", "O", "O", "O", "O", "O", "O", "O", "O", "O", "O", "O", "O", "O", "O", "O", "O"], "frac_coords": [[0.250, 0.250, 0.250], [0.250, 0.750, 0.750], [0.750, 0.250, 0.250], [0.750, 0.750, 0.750], [0.250, 0.250, 0.750], [0.250, 0.750, 0.250], [0.750, 0.250, 0.750], [0.750, 0.750, 0.250], [0.000, 0.000, 0.000], [0.000, 0.500, 0.500], [0.500, 0.000, 0.500], [0.500, 0.500, 0.000], [0.000, 0.000, 0.500], [0.000, 0.500, 0.000], [0.500, 0.000, 0.000], [0.500, 0.500, 0.500], [0.013, 0.025, 0.737], [0.013, 0.475, 0.763], [0.014, 0.738, 0.997], [0.014, 0.762, 0.503], [0.237, 0.012, 0.487], [0.237, 0.488, 0.013], [0.263, 0.012, 0.013], [0.263, 0.488, 0.487], [0.486, 0.738, 0.503], [0.486, 0.762, 0.997], [0.487, 0.025, 0.763], [0.487, 0.475, 0.737], [0.513, 0.525, 0.263], [0.513, 0.975, 0.237], [0.514, 0.238, 0.003], [0.514, 0.262, 0.497], [0.737, 0.512, 0.513], [0.737, 0.988, 0.987], [0.763, 0.512, 0.987], [0.763, 0.988, 0.513], [0.986, 0.238, 0.497], [0.986, 0.262, 0.003], [0.987, 0.525, 0.237], [0.987, 0.975, 0.263]], "e_form_ev_per_fu": -28.6, "energy_ev_per_atom": -6.6987, "space_group": "Pnnn", "relative_energy_ev_per_atom": 0.000}